## Ba3Sr5Co3Cu5O24 (PBE+U)

Data for an optimized crystal structure of Ba3Sr5Co3Cu5O24.

Calculated values
* formation energy from the elements: -71.61 eV per formula unit

abc: 7.853 7.890 7.899
angles: 89.91 89.86 89.98
Space group P1 (No. 1)
Asymmetric unit:
Ba1 0.000 0.000 0.000 [1 per cell]
Ba2 0.000 0.498 0.000 [1 per cell]
Ba3 0.497 0.498 0.000 [1 per cell]
Sr1 0.001 0.001 0.497 [1 per cell]
Sr2 0.001 0.498 0.497 [1 per cell]
Sr3 0.495 0.001 0.497 [1 per cell]
Sr4 0.495 0.498 0.496 [1 per cell]
Sr5 0.496 0.001 0.000 [1 per cell]
Co1 0.747 0.249 0.744 [1 per cell]
Co2 0.747 0.750 0.745 [1 per cell]
Co3 0.747 0.751 0.250 [1 per cell]
Cu1 0.248 0.249 0.747 [1 per cell]
Cu2 0.248 0.750 0.250 [1 per cell]
Cu3 0.249 0.249 0.249 [1 per cell]
Cu4 0.249 0.750 0.747 [1 per cell]
Cu5 0.748 0.249 0.249 [1 per cell]
O1 0.249 0.248 0.499 [1 per cell]
O2 0.249 0.499 0.262 [1 per cell]
O3 0.249 0.500 0.734 [1 per cell]
O4 0.249 0.750 0.500 [1 per cell]
O5 0.254 0.998 0.740 [1 per cell]
O6 0.254 0.999 0.257 [1 per cell]
O7 0.255 0.243 0.997 [1 per cell]
O8 0.255 0.756 0.997 [1 per cell]
O9 0.499 0.243 0.257 [1 per cell]
O10 0.499 0.754 0.256 [1 per cell]
O11 0.505 0.245 0.740 [1 per cell]
O12 0.511 0.754 0.743 [1 per cell]
O13 0.744 0.244 0.995 [1 per cell]
O14 0.744 0.754 0.003 [1 per cell]
O15 0.744 0.991 0.256 [1 per cell]
O16 0.745 0.002 0.742 [1 per cell]
O17 0.746 0.248 0.499 [1 per cell]
O18 0.747 0.497 0.738 [1 per cell]
O19 0.747 0.508 0.258 [1 per cell]
O20 0.747 0.751 0.495 [1 per cell]
O21 0.985 0.750 0.738 [1 per cell]
O22 0.990 0.248 0.739 [1 per cell]
O23 0.997 0.248 0.262 [1 per cell]
O24 0.997 0.750 0.261 [1 per cell]

## NaMgMnO2 (PBE+U)

Data for an optimized crystal structure of NaMgMnO2.

Calculated values
* formation energy from the elements: -8.92 eV per formula unit

abc: 5.583 3.221 8.547
angles: 90.00 103.30 90.00
Space group Cm (No. 8)
Asymmetric unit:
Na1 0.000 0.000 0.000 [2 per cell]
Mg1 0.376 0.500 0.598 [2 per cell]
Mn1 0.437 0.000 0.296 [2 per cell]
O1 0.173 0.000 0.496 [2 per cell]
O2 0.228 0.500 0.176 [2 per cell]

## Ba2YMo3O8 (PBE+U)

Data for an optimized crystal structure of Ba2YMo3O8.

Calculated values
* formation energy from the elements: -34.14 eV per formula unit

abc: 4.197 4.197 11.810
angles: 90.00 90.00 90.00
Space group P4/mmm (No. 123)
Asymmetric unit:
Ba1 0.000 0.000 0.170 [2 per cell]
Y1 0.000 0.000 0.500 [1 per cell]
Mo1 0.500 0.500 0.000 [1 per cell]
Mo2 0.500 0.500 0.358 [2 per cell]
O1 0.000 0.500 0.000 [2 per cell]
O2 0.000 0.500 0.381 [4 per cell]
O3 0.500 0.500 0.173 [2 per cell]